Entry from the Materials Project: crystalline Li4Mo5O17 at its relaxed geometry (PBE with a Hubbard U).

```
Li4Mo5O17
1.0
6.905 0.000 0.000
3.354 9.041 0.000
0.282 3.342 10.561
Li Mo O
8 10 34
Cartesian
0.958 2.164 0.693
3.422 6.433 3.292
3.945 8.366 5.971
2.034 1.664 3.814
8.508 10.719 6.747
6.596 4.016 4.590
7.120 5.949 7.269
9.583 10.218 9.868
1.438 2.737 7.008
3.575 6.973 9.004
5.453 8.022 0.251
3.850 4.817 6.458
4.340 3.297 2.145
6.201 9.085 8.417
6.691 7.565 4.103
5.088 4.360 10.310
6.967 5.409 1.557
9.103 9.646 3.553
1.949 6.736 9.549
0.435 0.936 2.863
1.125 2.734 5.250
1.692 4.527 7.308
3.776 7.780 0.614
3.877 8.744 9.121
3.465 6.756 7.119
3.187 5.174 4.882
2.652 3.021 2.498
2.379 0.739 0.375
5.673 11.110 8.893
5.330 9.671 6.868
4.932 7.493 4.373
4.549 5.073 2.213
4.219 3.076 0.130
3.629 2.979 6.624
4.235 4.991 8.693
6.306 7.391 1.868
6.913 9.403 3.937
6.323 9.307 10.431
5.993 7.310 8.348
5.609 4.889 6.188
5.211 2.712 3.693
4.868 1.273 1.668
8.163 11.643 10.186
7.890 9.361 8.063
7.354 7.208 5.679
7.076 5.626 3.442
6.665 3.639 1.440
6.765 4.602 9.947
8.850 7.856 3.253
9.417 9.649 5.311
10.106 11.447 7.698
8.593 5.647 1.012
```

Computed properties:
Magnetization = 0.000 μB per atom
Calculated formation energy = -202.4 kJ/mol of atoms
MP2020-corrected energy = -7.712 eV/atom
Mass density = 3.9 g cm⁻³
Calculated total energy = -345.67 eV/cell

***

Entry from the Materials Project: crystalline LiMoO2 at its relaxed geometry (PBE with a Hubbard U).

```
LiMoO2
1.0
1.606 0.927 4.937
-1.606 0.927 4.937
0.000 -1.854 4.937
Li Mo O
1 1 2
Cartesian
0.000 0.000 0.000
0.000 0.000 7.405
0.000 0.000 3.627
0.000 0.000 11.184
```

Computed properties:
Calculated formation energy = -189.3 kJ/mol of atoms
MP2020-corrected energy = -7.625 eV/atom
Energy above the most stable polymorph in this dataset = 0 meV per atom
Mass density = 5.1 g cm⁻³
Calculated total energy = -25.92 eV/cell

***

Entry from the Materials Project: crystalline LiMoO2 at its relaxed geometry (PBE with a Hubbard U).

```
LiMoO2
1.0
5.084 0.000 0.000
0.000 5.264 0.000
0.000 0.000 3.181
Li Mo O
2 2 4
Cartesian
0.000 0.000 0.000
2.542 2.632 1.590
0.000 2.632 0.000
2.542 0.000 1.590
0.871 1.418 1.590
1.671 4.050 0.000
3.413 1.214 0.000
4.213 3.846 1.590
```

Computed properties:
Magnetization = 0.750 μB per atom
Calculated formation energy = -186.8 kJ/mol of atoms
MP2020-corrected energy = -7.599 eV/atom
Energy above the most stable polymorph in this dataset = 26 meV per atom
Mass density = 5.3 g cm⁻³
Calculated total energy = -51.64 eV/cell

***

Entry from the Materials Project: crystalline LiMoO2 at its relaxed geometry (PBE with a Hubbard U).

```
LiMoO2
1.0
6.002 0.000 0.000
0.000 5.265 0.000
-2.651 0.000 5.386
Li Mo O
4 4 8
Cartesian
0.820 0.019 1.355
-0.505 2.614 4.048
3.856 2.651 1.337
2.530 5.246 4.030
0.839 2.641 1.345
-0.486 5.256 4.038
3.837 0.008 1.348
2.511 2.624 4.040
-1.919 3.859 4.925
-0.594 4.039 2.232
2.263 1.230 0.453
0.938 1.403 3.146
2.413 3.862 2.240
1.087 4.035 4.933
3.945 1.226 3.154
5.270 1.406 0.461
```

Computed properties:
Magnetization = 0.750 μB per atom
Calculated formation energy = -186.8 kJ/mol of atoms
MP2020-corrected energy = -7.598 eV/atom
Energy above the most stable polymorph in this dataset = 26 meV per atom
Mass density = 5.3 g cm⁻³
Calculated total energy = -103.27 eV/cell

***

Entry from the Materials Project: crystalline LiMo2P3O12 at its relaxed geometry (PBE with a Hubbard U).

```
LiMo2P3O12
1.0
9.029 0.000 0.000
0.000 9.180 0.000
0.000 0.000 12.433
Li Mo P O
4 8 12 48
Cartesian
1.340 2.195 3.108
1.340 2.395 9.324
7.688 6.785 3.108
7.688 6.985 9.324
2.220 4.809 7.456
2.220 4.809 11.193
2.220 8.961 1.240
2.220 8.961 4.977
6.809 0.219 7.456
6.809 0.219 11.193
6.809 4.371 1.240
6.809 4.371 4.977
0.327 2.295 0.000
0.327 2.295 6.216
3.592 5.729 1.640
3.592 5.729 4.576
3.592 8.040 7.857
3.592 8.040 10.792
5.437 1.139 1.640
5.437 1.139 4.576
5.437 3.451 7.857
5.437 3.451 10.792
8.702 6.885 0.000
8.702 6.885 6.216
0.488 5.819 6.956
0.488 5.819 11.693
0.488 7.950 0.740
0.488 7.950 5.477
1.221 1.653 1.117
1.221 1.653 5.099
1.221 2.937 7.333
1.221 2.937 11.316
1.848 4.750 9.324
1.848 9.019 3.108
2.746 4.810 0.748
2.746 4.810 5.469
2.746 8.959 6.964
2.746 8.959 11.685
3.080 5.271 3.108
3.080 8.498 9.324
3.283 6.566 7.686
3.283 6.566 10.963
3.283 7.203 1.469
3.283 7.203 4.747
3.942 0.916 1.562
3.942 0.916 4.654
3.942 3.674 7.778
3.942 3.674 10.871
5.087 5.505 1.562
5.087 5.505 4.654
5.087 8.264 7.778
5.087 8.264 10.871
5.746 1.976 7.686
5.746 1.976 10.963
5.746 2.613 1.469
5.746 2.613 4.747
5.949 0.681 3.108
5.949 3.909 9.324
6.282 0.220 0.748
6.282 0.220 5.469
6.282 4.369 6.964
6.282 4.369 11.685
7.181 0.160 9.324
7.181 4.430 3.108
7.808 6.243 1.117
7.808 6.243 5.099
7.808 7.527 7.333
7.808 7.527 11.316
8.540 1.229 6.956
8.540 1.229 11.693
8.540 3.360 0.740
8.540 3.360 5.477
```

Computed properties:
Magnetization = 0.222 μB per atom
Calculated formation energy = -236.9 kJ/mol of atoms
MP2020-corrected energy = -7.968 eV/atom
Energy above the most stable polymorph in this dataset = 52 meV per atom
Mass density = 3.1 g cm⁻³
Calculated total energy = -515.08 eV/cell

***

Entry from the Materials Project: crystalline Li7Mo4P9O32 at its relaxed geometry (PBE with a Hubbard U).

```
Li7Mo4P9O32
1.0
14.053 0.000 0.000
0.000 14.053 0.000
0.000 0.000 6.554
Li Mo P O
14 8 18 64
Cartesian
0.000 0.000 0.000
0.000 7.027 0.875
0.000 7.027 4.152
1.546 10.480 5.259
3.454 8.572 1.982
3.573 1.546 1.295
5.481 3.454 4.572
7.027 0.000 2.402
7.027 0.000 5.679
7.027 7.027 3.277
8.572 10.599 4.572
10.480 12.508 1.295
10.599 5.481 1.982
12.508 3.573 5.259
1.701 2.790 4.048
2.790 12.352 2.506
4.236 5.325 0.771
5.325 9.817 5.782
8.728 4.236 5.782
9.817 8.728 0.771
11.263 1.701 2.506
12.352 11.263 4.048
0.000 0.000 3.277
0.851 9.709 2.516
1.444 3.482 0.835
2.683 7.877 5.793
3.482 12.609 5.718
3.544 5.582 4.112
4.344 0.851 4.037
5.582 10.509 2.442
6.176 2.683 0.761
7.027 7.027 0.000
7.877 11.371 0.761
8.471 3.544 2.442
9.709 13.203 4.037
10.509 8.471 4.112
10.571 1.444 5.718
11.371 6.176 5.793
12.609 10.571 0.835
13.203 4.344 2.516
0.101 10.244 1.174
0.243 10.418 3.749
0.777 8.200 2.536
0.855 13.174 2.318
0.879 0.855 4.236
1.173 7.804 5.813
1.352 2.656 6.114
1.989 2.571 1.954
2.171 4.812 0.714
2.215 4.855 3.991
2.298 10.223 2.312
2.571 12.065 4.600
2.656 12.701 0.440
3.197 9.325 5.588
3.218 7.128 4.451
3.392 7.270 0.472
3.635 0.243 2.804
3.809 0.101 5.379
3.830 2.298 4.242
4.371 5.674 2.837
4.455 5.038 5.230
4.728 3.197 0.965
4.812 11.882 5.839
4.855 11.838 2.562
5.038 9.598 1.323
5.674 9.682 3.717
5.853 0.777 4.018
6.147 7.882 5.595
6.172 6.147 0.959
6.249 1.173 0.741
6.783 3.392 6.081
6.925 3.218 2.103
7.128 10.836 2.103
7.270 10.661 6.081
7.804 12.880 0.741
7.882 7.906 0.959
7.906 6.172 5.595
8.200 13.276 4.018
8.379 4.371 3.717
9.015 4.455 1.323
9.198 2.215 2.562
9.242 2.171 5.839
9.325 10.857 0.965
9.598 9.015 5.230
9.682 8.379 2.837
10.223 11.755 4.242
10.244 13.952 5.379
10.418 13.810 2.804
10.661 6.783 0.472
10.836 6.925 4.451
10.857 4.728 5.588
11.397 1.352 0.440
11.482 1.989 4.600
11.755 3.830 2.312
11.838 9.198 3.991
11.882 9.242 0.714
12.065 11.482 1.954
12.701 11.397 6.114
12.880 6.249 5.813
13.174 13.198 4.236
13.198 0.879 2.318
13.276 5.853 2.536
13.810 3.635 3.749
13.952 3.809 1.174
```

Computed properties:
Magnetization = 0.231 μB per atom
Calculated formation energy = -247.6 kJ/mol of atoms
MP2020-corrected energy = -7.639 eV/atom
Mass density = 3.1 g cm⁻³
Calculated total energy = -724.89 eV/cell

***

Which of these has the highest calculated total energy? number 2